Computed, not measured: a relaxed Li9Mn2Co5O16 crystal at the GGA+U level of DFT.

CIF file:
```
data_Li9Mn2Co5O16
_cell_length_a 5.073
_cell_length_b 7.715
_cell_length_c 7.715
_cell_angle_alpha 96.54
_cell_angle_beta 76.63
_cell_angle_gamma 76.63
_symmetry_space_group_name_H-M 'P 1'
_symmetry_Int_Tables_number 1
_symmetry_space_group_name_Hall 'P 1'
loop_
_atom_site_label
_atom_site_type_symbol
_atom_site_fract_x
_atom_site_fract_y
_atom_site_fract_z
Li1 Li 0.009 0.115 0.369
Li2 Li 0.991 0.631 0.885
Li3 Li 0.501 0.000 0.494
Li4 Li 0.499 0.506 0.000
Li5 Li 0.001 0.879 0.626
Li6 Li 0.999 0.374 0.121
Li7 Li 0.496 0.754 0.759
Li8 Li 0.504 0.241 0.246
Li9 Li 0.500 0.875 0.125
Mn1 Mn 0.000 0.997 0.003
Mn2 Mn 0.500 0.631 0.369
Co1 Co 0.000 0.500 0.500
Co2 Co 0.500 0.374 0.626
Co3 Co 0.000 0.751 0.249
Co4 Co 0.000 0.248 0.752
Co5 Co 0.500 0.122 0.878
O1 O 0.782 0.989 0.238
O2 O 0.761 0.496 0.742
O3 O 0.246 0.853 0.369
O4 O 0.268 0.358 0.865
O5 O 0.746 0.739 0.482
O6 O 0.774 0.239 0.996
O7 O 0.265 0.614 0.609
O8 O 0.250 0.116 0.101
O9 O 0.239 0.258 0.504
O10 O 0.218 0.762 0.011
O11 O 0.732 0.135 0.642
O12 O 0.754 0.631 0.147
O13 O 0.226 0.004 0.761
O14 O 0.254 0.518 0.261
O15 O 0.750 0.899 0.884
O16 O 0.735 0.391 0.386
```

Output
Energy above the lowest structure with this stoichiometry = 0.0208 eV/atom
Formation energy = -1.84 eV/atom
Theoretical density = 4.3 g/cm3
Space-group type = C2 (5)
M_tot = 0.285 μB/atom

Computed, not measured: a relaxed Li4Ti2V3Fe4O18 crystal at the GGA+U level of DFT.

CIF file:
```
data_Li4Ti2V3Fe4O18
_cell_length_a 2.965
_cell_length_b 9.132
_cell_length_c 25.567
_cell_angle_alpha 90.00
_cell_angle_beta 90.00
_cell_angle_gamma 90.00
_symmetry_space_group_name_H-M 'P 1'
_symmetry_Int_Tables_number 1
_symmetry_space_group_name_Hall 'P 1'
loop_
_atom_site_label
_atom_site_type_symbol
_atom_site_fract_x
_atom_site_fract_y
_atom_site_fract_z
Li1 Li 0.500 0.196 0.491
Li2 Li 0.500 0.194 0.685
Li3 Li 0.500 0.306 0.185
Li4 Li 0.500 0.304 0.991
Li5 Li 0.500 0.696 0.009
Li6 Li 0.500 0.694 0.815
Li7 Li 0.500 0.806 0.315
Li8 Li 0.500 0.804 0.509
Ti1 Ti 0.500 0.996 0.600
Ti2 Ti 0.500 0.504 0.100
Ti3 Ti 0.500 0.496 0.900
Ti4 Ti 0.500 0.004 0.400
V1 V 0.500 0.000 0.000
V2 V 0.000 0.150 0.309
V3 V 0.000 0.350 0.809
V4 V 0.500 0.500 0.500
V5 V 0.000 0.650 0.191
V6 V 0.000 0.850 0.691
Fe1 Fe 0.500 0.008 0.805
Fe2 Fe 0.000 0.148 0.088
Fe3 Fe 0.000 0.352 0.588
Fe4 Fe 0.500 0.492 0.305
Fe5 Fe 0.500 0.508 0.695
Fe6 Fe 0.000 0.648 0.412
Fe7 Fe 0.000 0.852 0.912
Fe8 Fe 0.500 0.992 0.195
O1 O 0.500 0.997 0.926
O2 O 0.500 0.003 0.074
O3 O 0.000 0.058 0.444
O4 O 0.000 0.044 0.657
O5 O 0.000 0.118 0.166
O6 O 0.500 0.089 0.263
O7 O 0.000 0.149 0.005
O8 O 0.000 0.151 0.790
O9 O 0.500 0.185 0.359
O10 O 0.500 0.202 0.586
O11 O 0.500 0.298 0.086
O12 O 0.500 0.315 0.859
O13 O 0.000 0.349 0.290
O14 O 0.000 0.351 0.505
O15 O 0.500 0.411 0.763
O16 O 0.000 0.382 0.666
O17 O 0.000 0.456 0.157
O18 O 0.000 0.442 0.944
O19 O 0.500 0.497 0.574
O20 O 0.500 0.503 0.426
O21 O 0.000 0.558 0.056
O22 O 0.000 0.544 0.843
O23 O 0.000 0.618 0.334
O24 O 0.500 0.589 0.237
O25 O 0.000 0.649 0.495
O26 O 0.000 0.651 0.710
O27 O 0.500 0.685 0.141
O28 O 0.500 0.702 0.914
O29 O 0.500 0.798 0.414
O30 O 0.500 0.815 0.641
O31 O 0.000 0.849 0.210
O32 O 0.000 0.851 0.995
O33 O 0.500 0.911 0.737
O34 O 0.000 0.882 0.834
O35 O 0.000 0.956 0.343
O36 O 0.000 0.942 0.556
```

Output
Formation energy = -2.35 eV/atom
Theoretical density = 3.8 g/cm3
Space-group type = Pbam (55)
M_tot = 0.742 μB/atom